Entry 1:
First-principles (GGA+U) data for an optimized crystal structure of MgCr2Si3O12, as listed in Materials Project.

The calculation puts the energy of formation from the pure elements at -2.452 eV/atom. The magnetic moment comes out at 2.000 μB/f.u. Its volume is 802 Å³/cell. The calculation puts the density at 3349 kg/m3.

Cell: 10.139 10.139 10.139 Å, 109.80 109.80 108.82°
Fractional positions:
Si: 0.125 0.000 0.375
Si: 0.250 0.875 0.875
Si: 0.125 0.500 0.875
Si: 0.500 0.375 0.625
Si: 0.625 0.750 0.625
Si: 0.500 0.500 0.000
Si: 0.000 0.375 0.125
Si: 0.750 0.250 0.500
Si: 0.250 0.750 0.500
Si: 0.625 0.250 0.125
Si: 0.000 0.000 0.000
Si: 0.750 0.875 0.375
Cr: 0.875 0.625 0.750
Cr: 0.375 0.125 0.250
Cr: 0.375 0.625 0.250
Cr: 0.875 0.125 0.250
Cr: 0.375 0.625 0.750
Cr: 0.375 0.125 0.750
Cr: 0.875 0.125 0.750
Cr: 0.875 0.625 0.250
O: 0.881 0.024 0.563
O: 0.171 0.515 0.737
O: 0.062 0.702 0.449
O: 0.869 0.226 0.937
O: 0.298 0.747 0.360
O: 0.079 0.316 0.844
O: 0.472 0.235 0.156
O: 0.188 0.138 0.140
O: 0.774 0.711 0.643
O: 0.476 0.619 0.437
O: 0.961 0.524 0.143
O: 0.976 0.539 0.857
O: 0.568 0.211 0.937
O: 0.684 0.528 0.763
O: 0.278 0.015 0.344
O: 0.566 0.829 0.344
O: 0.753 0.202 0.640
O: 0.253 0.612 0.551
O: 0.381 0.818 0.857
O: 0.682 0.119 0.143
O: 0.265 0.028 0.844
O: 0.068 0.131 0.357
O: 0.182 0.039 0.563
O: 0.671 0.934 0.656
O: 0.289 0.932 0.063
O: 0.789 0.726 0.357
O: 0.452 0.503 0.140
O: 0.688 0.548 0.051
O: 0.952 0.812 0.949
O: 0.798 0.438 0.551
O: 0.369 0.432 0.643
O: 0.388 0.938 0.640
O: 0.997 0.048 0.860
O: 0.562 0.112 0.360
O: 0.461 0.318 0.437
O: 0.497 0.638 0.949
O: 0.778 0.434 0.263
O: 0.888 0.247 0.449
O: 0.862 0.003 0.051
O: 0.579 0.735 0.763
O: 0.066 0.722 0.737
O: 0.274 0.631 0.063
O: 0.362 0.312 0.860
O: 0.972 0.816 0.237
O: 0.184 0.421 0.156
O: 0.765 0.921 0.237
O: 0.985 0.329 0.263
O: 0.485 0.222 0.656
Mg: 0.000 0.500 0.500
Mg: 0.500 0.000 0.500
Mg: 0.750 0.750 0.000
Mg: 0.250 0.250 0.000


Entry 2:
First-principles (GGA+U) data for an optimized crystal structure of MgCrSi2O6, as listed in Materials Project.

The calculation puts the energy of formation from the pure elements at -2.979 eV/atom. The magnetic moment comes out at 0.000 μB/f.u. Its volume is 227 Å³/cell. The calculation puts the density at 3336 kg/m3.

Cell: 5.391 6.736 6.736 Å, 84.36 74.70 74.70°
Fractional positions:
O: 0.435 0.855 0.853
O: 0.848 0.706 0.533
O: 0.150 0.628 0.122
O: 0.652 0.467 0.294
O: 0.565 0.145 0.147
O: 0.350 0.878 0.372
O: 0.065 0.147 0.145
O: 0.152 0.294 0.467
O: 0.850 0.372 0.878
O: 0.348 0.533 0.706
O: 0.650 0.122 0.628
O: 0.935 0.853 0.855
Mg: 0.750 0.403 0.597
Mg: 0.250 0.597 0.403
Si: 0.726 0.883 0.706
Si: 0.226 0.706 0.883
Si: 0.274 0.117 0.294
Si: 0.774 0.294 0.117
Cr: 0.750 0.767 0.233
Cr: 0.250 0.233 0.767


Entry 3:
First-principles (GGA+U) data for an optimized crystal structure of MgCrSi2O6, as listed in Materials Project.

The calculation puts the energy of formation from the pure elements at -2.949 eV/atom. The magnetic moment comes out at 0.000 μB/f.u. Its volume is 237 Å³/cell. The calculation puts the density at 3196 kg/m3.

Cell: 5.315 6.898 6.899 Å, 87.29 75.68 75.69°
Fractional positions:
O: 0.507 0.686 0.627
O: 0.375 0.389 0.851
O: 0.875 0.851 0.389
O: 0.007 0.627 0.686
O: 0.350 0.023 0.219
O: 0.850 0.219 0.023
O: 0.625 0.611 0.149
O: 0.150 0.781 0.977
O: 0.993 0.373 0.314
O: 0.493 0.314 0.373
O: 0.650 0.977 0.781
O: 0.125 0.149 0.611
Si: 0.259 0.616 0.790
Si: 0.741 0.384 0.210
Si: 0.241 0.210 0.384
Si: 0.759 0.790 0.616
Cr: 0.750 0.898 0.102
Cr: 0.250 0.102 0.898
Mg: 0.750 0.244 0.756
Mg: 0.250 0.756 0.244


Entry 4:
First-principles (GGA+U) data for an optimized crystal structure of Mg3Cr2Si4O14, as listed in Materials Project.

The calculation puts the energy of formation from the pure elements at -2.947 eV/atom. The magnetic moment comes out at 6.000 μB/f.u. Its volume is 516 Å³/cell. The calculation puts the density at 3306 kg/m3.

Cell: 9.183 9.183 9.789 Å, 59.50 59.50 48.79°
Fractional positions:
O: 0.931 0.256 0.820
O: 0.858 0.290 0.329
O: 0.710 0.142 0.171
O: 0.256 0.931 0.320
O: 0.328 0.350 0.244
O: 0.370 0.527 0.415
O: 0.039 0.125 0.577
O: 0.672 0.650 0.756
O: 0.527 0.370 0.915
O: 0.142 0.710 0.671
O: 0.492 0.907 0.438
O: 0.961 0.875 0.423
O: 0.290 0.858 0.829
O: 0.508 0.093 0.562
O: 0.125 0.039 0.077
O: 0.486 0.066 0.122
O: 0.350 0.328 0.744
O: 0.744 0.069 0.680
O: 0.875 0.961 0.923
O: 0.650 0.672 0.256
O: 0.630 0.473 0.585
O: 0.907 0.492 0.938
O: 0.934 0.514 0.378
O: 0.473 0.630 0.085
O: 0.514 0.934 0.878
O: 0.093 0.508 0.062
O: 0.066 0.486 0.622
O: 0.069 0.744 0.180
Si: 0.771 0.474 0.398
Si: 0.533 0.107 0.708
Si: 0.526 0.229 0.102
Si: 0.229 0.526 0.602
Si: 0.107 0.533 0.208
Si: 0.893 0.467 0.792
Si: 0.474 0.771 0.898
Si: 0.467 0.893 0.292
Mg: 0.379 0.621 0.750
Mg: 0.099 0.265 0.085
Mg: 0.735 0.901 0.415
Mg: 0.901 0.735 0.915
Mg: 0.621 0.379 0.250
Mg: 0.265 0.099 0.585
Cr: 0.000 0.000 0.000
Cr: 0.000 0.000 0.500
Cr: 0.789 0.211 0.750
Cr: 0.211 0.789 0.250


Entry 5:
First-principles (GGA+U) data for an optimized crystal structure of MgCrSi2O6, as listed in Materials Project.

The calculation puts the energy of formation from the pure elements at -2.981 eV/atom. The magnetic moment comes out at 4.000 μB/f.u. Its volume is 900 Å³/cell. The calculation puts the density at 3371 kg/m3.

Cell: 5.318 9.098 18.606 Å, 90.00 90.00 90.00°
Fractional positions:
Si: 0.214 0.163 0.024
Si: 0.564 0.162 0.728
Si: 0.936 0.162 0.228
Si: 0.714 0.337 0.024
Si: 0.786 0.337 0.524
Si: 0.714 0.837 0.476
Si: 0.064 0.838 0.772
Si: 0.286 0.663 0.976
Si: 0.064 0.338 0.728
Si: 0.436 0.338 0.228
Si: 0.564 0.662 0.772
Si: 0.286 0.163 0.524
Si: 0.436 0.838 0.272
Si: 0.936 0.662 0.272
Si: 0.786 0.837 0.976
Si: 0.214 0.663 0.476
O: 0.937 0.503 0.312
O: 0.665 0.731 0.303
O: 0.706 0.486 0.566
O: 0.789 0.338 0.436
O: 0.437 0.497 0.188
O: 0.206 0.514 0.934
O: 0.211 0.162 0.936
O: 0.063 0.997 0.812
O: 0.706 0.986 0.934
O: 0.563 0.503 0.812
O: 0.835 0.731 0.803
O: 0.441 0.833 0.185
O: 0.941 0.167 0.315
O: 0.424 0.290 0.051
O: 0.289 0.162 0.436
O: 0.924 0.210 0.051
O: 0.937 0.003 0.188
O: 0.211 0.662 0.564
O: 0.835 0.231 0.697
O: 0.206 0.014 0.566
O: 0.059 0.833 0.685
O: 0.559 0.667 0.685
O: 0.441 0.333 0.315
O: 0.165 0.769 0.303
O: 0.794 0.486 0.066
O: 0.789 0.838 0.064
O: 0.076 0.290 0.551
O: 0.711 0.838 0.564
O: 0.711 0.338 0.936
O: 0.941 0.667 0.185
O: 0.335 0.269 0.697
O: 0.063 0.497 0.688
O: 0.289 0.662 0.064
O: 0.294 0.514 0.434
O: 0.059 0.333 0.815
O: 0.563 0.003 0.688
O: 0.559 0.167 0.815
O: 0.076 0.790 0.949
O: 0.294 0.014 0.066
O: 0.424 0.790 0.449
O: 0.924 0.710 0.449
O: 0.165 0.269 0.197
O: 0.335 0.769 0.803
O: 0.665 0.231 0.197
O: 0.794 0.986 0.434
O: 0.576 0.710 0.949
O: 0.576 0.210 0.551
O: 0.437 0.997 0.312
Mg: 0.117 0.848 0.125
Mg: 0.883 0.152 0.875
Mg: 0.617 0.652 0.125
Mg: 0.383 0.348 0.875
Mg: 0.117 0.348 0.375
Mg: 0.383 0.848 0.625
Mg: 0.617 0.152 0.375
Mg: 0.883 0.652 0.625
Cr: 0.124 0.981 0.376
Cr: 0.876 0.019 0.624
Cr: 0.376 0.481 0.624
Cr: 0.376 0.981 0.876
Cr: 0.624 0.519 0.376
Cr: 0.124 0.481 0.124
Cr: 0.876 0.519 0.876
Cr: 0.624 0.019 0.124